a.
LiSc2Al2C2O2 | PBE | optimized geometry

POSCAR file:
```
LiSc2Al2C2O2
1.0
1.6250 0.9382 12.4033
-1.6250 0.9382 12.4033
0.0000 -1.8764 12.4033
Li Sc Al C O
1 2 2 2 2
direct
0.0000 0.0000 0.0000 Li
0.4546 0.4546 0.4546 Sc
0.9249 0.9249 0.9249 Sc
0.1799 0.1799 0.1799 Al
0.7283 0.7283 0.7283 Al
0.0808 0.0808 0.0808 C
0.8260 0.8260 0.8260 C
0.2293 0.2293 0.2293 O
0.6200 0.6200 0.6200 O
```

Results
Total magnetization in μB per formula unit: 1.0
Space-group type: R3m, No. 160
Crystal system: trigonal



b.
LiSc2Al2C2O2 | PBE | optimized geometry

POSCAR file:
```
LiSc2Al2C2O2
1.0
2.8085 -1.8565 0.0000
2.8085 1.8565 0.0000
-1.8172 0.0000 10.0542
Li Sc Al C O
1 2 2 2 2
direct
0.0000 0.0000 0.0000 Li
0.0000 0.0000 0.5000 Sc
0.5000 0.5000 0.0000 Sc
0.2374 0.2374 0.2267 Al
0.7626 0.7626 0.7733 Al
0.1283 0.1283 0.8370 C
0.8717 0.8717 0.1630 C
0.3064 0.3064 0.4074 O
0.6936 0.6936 0.5926 O
```

Results
Total magnetization in μB per formula unit: 0.0
Space-group type: C2/m, No. 12
Crystal system: monoclinic



c.
LiSc2Al2C2O2 | PBE | optimized geometry

POSCAR file:
```
LiSc2Al2C2O2
1.0
1.6275 0.9397 12.2675
-1.6275 0.9397 12.2675
0.0000 -1.8793 12.2675
Li Sc Al C O
1 2 2 2 2
direct
0.0000 0.0000 0.0000 Li
0.4000 0.4000 0.4000 Sc
0.8707 0.8707 0.8707 Sc
0.1449 0.1449 0.1449 Al
0.5975 0.5975 0.5975 Al
0.2436 0.2436 0.2436 C
0.4976 0.4976 0.4976 C
0.0940 0.0940 0.0940 O
0.7031 0.7031 0.7031 O
```

Results
Total magnetization in μB per formula unit: 0.9
Space-group type: R3m, No. 160
Crystal system: trigonal



d.
LiSc2Al2C2O2 | PBE | optimized geometry

POSCAR file:
```
LiSc2Al2C2O2
1.0
1.6303 0.9413 13.2710
-1.6303 0.9413 13.2710
0.0000 -1.8826 13.2710
Li Sc Al C O
1 2 2 2 2
direct
0.0000 0.0000 0.0000 Li
0.2032 0.2032 0.2032 Sc
0.7426 0.7426 0.7426 Sc
0.4627 0.4627 0.4627 Al
0.9409 0.9409 0.9409 Al
0.1091 0.1091 0.1091 C
0.2917 0.2917 0.2917 C
0.5080 0.5080 0.5080 O
0.8928 0.8928 0.8928 O
```

Results
Total magnetization in μB per formula unit: 1.1
Space-group type: R3m, No. 160
Crystal system: trigonal



The least stable of them is b.